DFT (PBE) results for a relaxed structure of KNb2Cl11.

Cell lengths 7.051, 7.110, 17.664 Å; angles 79.23, 79.00, 87.46 degrees
Space group P-1 (No. 2)
Unique sites:
K: 0.247 0.247 0.003 x2
Nb: 0.175 0.678 0.162 x2
Nb: 0.327 0.826 0.589 x2
Cl: 0.020 0.876 0.653 x2
Cl: 0.042 0.056 0.852 x2
Cl: 0.075 0.527 0.846 x2
Cl: 0.114 0.640 0.297 x2
Cl: 0.219 0.715 0.488 x2
Cl: 0.246 0.727 0.014 x2
Cl: 0.331 0.162 0.501 x2
Cl: 0.396 0.417 0.160 x2
Cl: 0.397 0.525 0.650 x2
Cl: 0.435 0.894 0.147 x2
Cl: 0.470 0.977 0.670 x2

Output
Calculated formation energy: -1.8313 eV per atom
E_tot: -4.32 eV per atom

DFT (PBE) results for a relaxed structure of KNbCl6.

Cell lengths 7.024, 22.486, 24.704 Å; angles 90.00, 105.41, 90.00 degrees
Space group P2_1/c (No. 14)
Unique sites:
K: 0.048 0.101 0.299 x4
K: 0.183 0.032 0.932 x4
K: 0.315 0.535 0.066 x4
K: 0.425 0.171 0.163 x4
Nb: 0.020 0.726 0.775 x4
Nb: 0.228 0.140 0.482 x4
Nb: 0.267 0.642 0.518 x4
Nb: 0.497 0.010 0.748 x4
Cl: 0.023 0.136 0.773 x4
Cl: 0.033 0.104 0.541 x4
Cl: 0.036 0.105 0.046 x4
Cl: 0.059 0.674 0.321 x4
Cl: 0.063 0.670 0.086 x4
Cl: 0.092 0.664 0.584 x4
Cl: 0.175 0.040 0.435 x4
Cl: 0.182 0.199 0.665 x4
Cl: 0.199 0.034 0.680 x4
Cl: 0.210 0.028 0.187 x4
Cl: 0.223 0.734 0.476 x4
Cl: 0.225 0.736 0.220 x4
Cl: 0.265 0.232 0.290 x4
Cl: 0.279 0.232 0.525 x4
Cl: 0.305 0.695 0.844 x4
Cl: 0.307 0.525 0.310 x4
Cl: 0.309 0.538 0.555 x4
Cl: 0.318 0.530 0.817 x4
Cl: 0.424 0.163 0.420 x4
Cl: 0.428 0.165 0.918 x4
Cl: 0.439 0.606 0.451 x4
Cl: 0.455 0.593 0.208 x4
Cl: 0.464 0.604 0.713 x4
Cl: 0.487 0.596 0.956 x4

Output
Calculated formation energy: -1.8923 eV per atom
E_tot: -4.22 eV per atom

DFT (PBE) results for a relaxed structure of K2Nb3Cl9.

Cell lengths 10.286, 16.914, 9.781 Å; angles 90.00, 115.19, 90.00 degrees
Space group C2/m (No. 12)
Unique sites:
K: 0.110 0.161 0.327 x8
Nb: 0.120 0.500 0.872 x4
Nb: 0.134 0.413 0.140 x8
Cl: 0.000 0.294 0.000 x4
Cl: 0.018 0.397 0.314 x8
Cl: 0.183 0.000 0.671 x4
Cl: 0.196 0.197 0.678 x8
Cl: 0.202 0.103 0.984 x8
Cl: 0.231 0.000 0.285 x4

Output
Calculated formation energy: -1.8799 eV per atom
E_tot: -5.00 eV per atom

DFT (PBE) results for a relaxed structure of K2SrNb6Cl18.

Cell lengths 9.5288, 9.5288, 26.5148 Å; angles 90.00, 90.00, 120.00 degrees
Space group R-3 (No. 148, hexagonal axes)
Unique sites:
K: 0.0000 0.0000 0.2217 x6
Sr: 0.0000 0.0000 0.5000 x3
Nb: 0.0285 0.8375 0.0452 x18
Cl: 0.0332 0.8100 0.8928 x18
Cl: 0.0403 0.7644 0.4368 x18
Cl: 0.0754 0.8240 0.6666 x18

Output
Calculated formation energy: -1.9220 eV per atom
E_tot: -5.13 eV per atom